No. 1
# PBE with a Hubbard U Li6MnO3F3, optimized geometry
# E_tot in eV/atom: -5.289
data_Li6MnO3F3
_cell_length_a 5.170
_cell_length_b 10.298
_cell_length_c 10.639
_cell_angle_alpha 73.82
_cell_angle_beta 77.16
_cell_angle_gamma 80.16
_space_group_name_H-M_alt 'P 1'
_space_group_IT_number 1
_space_group_name_Hall 'P 1'
loop_
_atom_site_label
_atom_site_fract_x
_atom_site_fract_y
_atom_site_fract_z
Li1 0.000 0.000 0.000
Li2 0.000 0.500 0.000
Li3 0.005 0.249 0.489
Li4 0.005 0.749 0.489
Li5 0.068 0.250 0.190
Li6 0.068 0.750 0.190
Li7 0.154 0.024 0.666
Li8 0.154 0.524 0.666
Li9 0.256 0.060 0.395
Li10 0.256 0.561 0.395
Li11 0.324 0.330 0.867
Li12 0.324 0.830 0.867
Li13 0.411 0.311 0.576
Li14 0.411 0.811 0.576
Li15 0.460 0.043 0.074
Li16 0.460 0.543 0.074
Li17 0.598 0.272 0.324
Li18 0.599 0.772 0.324
Li19 0.612 0.040 0.831
Li20 0.613 0.540 0.831
Li21 0.772 0.029 0.245
Li22 0.772 0.529 0.245
Li23 0.786 0.296 0.753
Li24 0.786 0.796 0.753
Mn1 0.665 0.292 0.033
Mn2 0.665 0.791 0.033
Mn3 0.679 0.043 0.532
Mn4 0.679 0.543 0.532
O1 0.360 0.162 0.506
O2 0.360 0.662 0.506
O3 0.371 0.420 0.992
O4 0.372 0.920 0.992
O5 0.499 0.424 0.686
O6 0.499 0.924 0.686
O7 0.618 0.183 0.923
O8 0.619 0.683 0.923
O9 0.757 0.390 0.145
O10 0.757 0.890 0.145
O11 0.897 0.142 0.375
O12 0.898 0.643 0.375
F1 0.038 0.409 0.558
F2 0.038 0.909 0.558
F3 0.434 0.150 0.216
F4 0.435 0.650 0.216
F5 0.589 0.416 0.410
F6 0.589 0.916 0.410
F7 0.818 0.153 0.658
F8 0.818 0.653 0.658
F9 0.956 0.909 0.843
F10 0.957 0.409 0.843
F11 0.990 0.147 0.084
F12 0.991 0.647 0.084


No. 2
# PBE with a Hubbard U MgMn8O13F3, optimized geometry
# E_tot in eV/atom: -6.904
data_MgMn8O13F3
_cell_length_a 5.729
_cell_length_b 6.636
_cell_length_c 7.114
_cell_angle_alpha 93.15
_cell_angle_beta 95.05
_cell_angle_gamma 91.21
_space_group_name_H-M_alt 'P 1'
_space_group_IT_number 1
_space_group_name_Hall 'P 1'
loop_
_atom_site_label
_atom_site_fract_x
_atom_site_fract_y
_atom_site_fract_z
Mg1 0.000 0.000 0.000
Mn1 0.240 0.012 0.492
Mn2 0.308 0.491 0.977
Mn3 0.444 0.510 0.486
Mn4 0.475 0.002 0.972
Mn5 0.721 0.241 0.730
Mn6 0.740 0.753 0.251
Mn7 0.915 0.276 0.276
Mn8 0.960 0.738 0.703
O1 0.192 0.299 0.450
O2 0.218 0.724 0.520
O3 0.221 0.781 0.925
O4 0.258 0.212 0.013
O5 0.486 0.040 0.711
O6 0.490 0.546 0.222
O7 0.495 0.454 0.753
O8 0.675 0.295 0.475
O9 0.707 0.708 0.514
O10 0.714 0.804 0.984
O11 0.732 0.199 0.011
O12 0.959 0.031 0.707
O13 0.976 0.986 0.287
F1 0.463 0.971 0.245
F2 0.977 0.452 0.778
F3 0.990 0.532 0.178


No. 3
# PBE with a Hubbard U Mn2O3F, optimized geometry
# E_tot in eV/atom: -6.894
data_Mn2O3F
_cell_length_a 9.676
_cell_length_b 9.676
_cell_length_c 4.587
_cell_angle_alpha 92.14
_cell_angle_beta 92.14
_cell_angle_gamma 36.42
_space_group_name_H-M_alt 'P 1'
_space_group_IT_number 1
_space_group_name_Hall 'P 1'
loop_
_atom_site_label
_atom_site_fract_x
_atom_site_fract_y
_atom_site_fract_z
Mn1 0.000 0.000 0.000
Mn2 0.120 0.629 0.501
Mn3 0.256 0.256 0.975
Mn4 0.371 0.880 0.499
Mn5 0.500 0.500 0.000
Mn6 0.629 0.120 0.501
Mn7 0.744 0.744 0.025
Mn8 0.880 0.371 0.499
O1 0.047 0.548 0.193
O2 0.078 0.078 0.689
O3 0.203 0.701 0.808
O4 0.299 0.797 0.192
O5 0.329 0.329 0.689
O6 0.452 0.953 0.807
O7 0.548 0.047 0.193
O8 0.671 0.671 0.311
O9 0.701 0.203 0.808
O10 0.797 0.299 0.192
O11 0.922 0.922 0.311
O12 0.953 0.452 0.807
F1 0.181 0.181 0.278
F2 0.428 0.428 0.286
F3 0.572 0.572 0.714
F4 0.819 0.819 0.722


No. 4
# PBE with a Hubbard U Cs2NiF6, optimized geometry
# E_tot in eV/atom: -3.922
data_Cs2NiF6
_cell_length_a 6.399
_cell_length_b 6.399
_cell_length_c 6.399
_cell_angle_alpha 60.00
_cell_angle_beta 60.00
_cell_angle_gamma 60.00
_space_group_name_H-M_alt 'P 1'
_space_group_IT_number 1
_space_group_name_Hall 'P 1'
loop_
_atom_site_label
_atom_site_fract_x
_atom_site_fract_y
_atom_site_fract_z
Cs1 0.250 0.250 0.250
Cs2 0.750 0.750 0.750
Ni1 0.000 0.000 0.000
F1 0.200 0.200 0.800
F2 0.200 0.800 0.200
F3 0.200 0.800 0.800
F4 0.800 0.200 0.200
F5 0.800 0.200 0.800
F6 0.800 0.800 0.200


Q: The lowest E_tot belongs to which entry?
A: MgMn8O13F3


Q: E_tot of number 2 (MgMn8O13F3)?
A: -6.904 eV/atom